No. 1
First-principles (meta-GGA r2SCAN) data for a geometry-optimized LaYbZn2 structure, as listed in the Materials Project.

Its total energy is -21.359 eV/atom. Its volume is 95.4 Å³ per cell.

a = 5.1293 Å, b = 5.1293 Å, c = 5.1293 Å
α = 60.00°, β = 60.00°, γ = 60.00°
With the nearest neighbours (Å) after each atom.
Atoms (fractional coordinates):
La  0.0000  0.0000  0.0000  8 Zn 3.14
Yb  0.5000  0.5000  0.5000  8 Zn 3.14
Zn  0.2500  0.2500  0.2500  4 La 3.14, 4 Yb 3.14
Zn  0.7500  0.7500  0.7500  4 La 3.14, 4 Yb 3.14

=====

No. 2
First-principles (meta-GGA r2SCAN) data for a geometry-optimized YbIn2 structure, as listed in the Materials Project.

Its total energy is -27.687 eV/atom. Its volume is 145.9 Å³ per cell.

a = 4.9847 Å, b = 4.9847 Å, c = 6.7792 Å
α = 90.00°, β = 90.00°, γ = 120.00°
With the nearest neighbours (Å) after each atom.
Atoms (fractional coordinates):
Yb  0.0000  0.0000  0.7500  12 In 3.32-3.36, 2 Yb 3.39
Yb  0.0000  0.0000  0.2500  12 In 3.32-3.36, 2 Yb 3.39
In  0.3333  0.6667  0.9944  3 In 2.88
In  0.3333  0.6667  0.5056  3 In 2.88
In  0.6667  0.3333  0.0056  3 In 2.88
In  0.6667  0.3333  0.4944  3 In 2.88

=====

Number 1: spin magnetization 0.26 Bohr magnetons per cell. Number 2: spin magnetization 0.00 Bohr magnetons per cell.